Entry 1:
This record from the Materials Project describes crystalline Na3WO4F at its relaxed geometry. The functional is GGA+U.

POSCAR file:
```
Na3WO4F
1.0
5.715 0.000 0.000
0.000 7.651 0.000
0.000 0.000 13.084
O Na W F
16 12 4 4
Direct
0.892 0.250 0.421 O
0.674 0.750 0.455 O
0.686 0.556 0.651 O
0.186 0.556 0.849 O
0.326 0.250 0.545 O
0.314 0.444 0.349 O
0.686 0.944 0.651 O
0.608 0.750 0.921 O
0.814 0.056 0.151 O
0.108 0.750 0.579 O
0.174 0.750 0.045 O
0.826 0.250 0.955 O
0.814 0.444 0.151 O
0.186 0.944 0.849 O
0.392 0.250 0.079 O
0.314 0.056 0.349 O
0.724 0.250 0.608 Na
0.725 0.958 0.320 Na
0.225 0.542 0.180 Na
0.776 0.750 0.108 Na
0.775 0.042 0.820 Na
0.276 0.750 0.392 Na
0.275 0.042 0.680 Na
0.225 0.958 0.180 Na
0.725 0.542 0.320 Na
0.224 0.250 0.892 Na
0.775 0.458 0.820 Na
0.275 0.458 0.680 Na
0.212 0.250 0.416 W
0.712 0.250 0.084 W
0.288 0.750 0.916 W
0.788 0.750 0.584 W
0.497 0.750 0.230 F
0.503 0.250 0.770 F
0.997 0.750 0.270 F
0.003 0.250 0.730 F
```

Properties
Its total energy is -209.443 eV for the cell shown. The formation energy comes out at -2.375 eV per atom.

=====

Entry 2:
This record from the Materials Project describes crystalline Rb2NaVF6 at its relaxed geometry. The functional is GGA+U.

POSCAR file:
```
Rb2NaVF6
1.0
1.030 5.988 0.582
-3.753 4.015 -2.656
-3.726 3.419 3.418
F Rb Na V
6 2 1 1
Direct
0.770 0.230 0.770 F
0.770 0.770 0.230 F
0.230 0.770 0.230 F
0.230 0.230 0.770 F
0.770 0.230 0.230 F
0.230 0.770 0.770 F
0.750 0.750 0.750 Rb
0.250 0.250 0.250 Rb
0.500 0.500 0.500 Na
0.000 0.000 0.000 V
```

Properties
Its total energy is -51.059 eV for the cell shown. The formation energy comes out at -3.168 eV per atom.

=====

Entry 3:
This record from the Materials Project describes crystalline NaSrVF6 at its relaxed geometry. The functional is GGA+U.

POSCAR file:
```
NaSrVF6
1.0
5.493 0.000 0.000
0.000 9.505 0.000
0.000 0.000 10.544
V F Na Sr
4 24 4 4
Direct
0.963 0.500 0.373 V
0.537 0.500 0.873 V
0.463 0.000 0.627 V
0.037 0.000 0.127 V
0.287 0.377 0.796 F
0.220 0.160 0.048 F
0.141 0.495 0.535 F
0.713 0.877 0.704 F
0.791 0.643 0.914 F
0.859 0.995 0.965 F
0.641 0.005 0.465 F
0.780 0.660 0.452 F
0.280 0.840 0.548 F
0.359 0.505 0.035 F
0.341 0.662 0.817 F
0.279 0.979 0.785 F
0.787 0.123 0.204 F
0.209 0.143 0.586 F
0.779 0.521 0.215 F
0.721 0.479 0.715 F
0.720 0.340 0.952 F
0.159 0.338 0.317 F
0.291 0.857 0.086 F
0.709 0.357 0.414 F
0.213 0.623 0.296 F
0.841 0.838 0.183 F
0.221 0.021 0.285 F
0.659 0.162 0.683 F
0.044 0.647 0.083 Na
0.544 0.853 0.917 Na
0.456 0.353 0.583 Na
0.956 0.147 0.417 Na
0.006 0.186 0.823 Sr
0.494 0.814 0.323 Sr
0.994 0.686 0.677 Sr
0.506 0.314 0.177 Sr
```

Properties
Its total energy is -203.734 eV for the cell shown. The formation energy comes out at -3.536 eV per atom.

=====

Entry 4:
This record from the Materials Project describes crystalline Na3U6VF30 at its relaxed geometry. The functional is GGA+U.

POSCAR file:
```
Na3U6VF30
1.0
0.533 9.108 3.799
-0.798 -1.239 -9.773
-13.089 0.338 1.026
F U V Na
60 12 2 6
Direct
0.086 0.190 0.158 F
0.588 0.468 0.550 F
0.566 0.697 0.285 F
0.172 0.512 0.637 F
0.512 0.340 0.363 F
0.660 0.488 0.863 F
0.340 0.828 0.637 F
0.914 0.105 0.342 F
0.412 0.880 0.950 F
0.532 0.120 0.550 F
0.588 0.120 0.050 F
0.120 0.588 0.450 F
0.691 0.884 0.980 F
0.105 0.190 0.658 F
0.193 0.884 0.480 F
0.697 0.566 0.215 F
0.810 0.914 0.658 F
0.193 0.309 0.980 F
0.434 0.303 0.715 F
0.172 0.660 0.137 F
0.895 0.810 0.342 F
0.807 0.691 0.020 F
0.488 0.660 0.637 F
0.884 0.193 0.020 F
0.512 0.172 0.863 F
0.660 0.172 0.363 F
0.303 0.870 0.285 F
0.190 0.105 0.842 F
0.340 0.512 0.137 F
0.116 0.807 0.980 F
0.105 0.914 0.158 F
0.870 0.303 0.215 F
0.807 0.116 0.520 F
0.130 0.434 0.285 F
0.309 0.193 0.520 F
0.434 0.130 0.215 F
0.895 0.086 0.842 F
0.828 0.340 0.863 F
0.691 0.807 0.480 F
0.120 0.532 0.950 F
0.309 0.116 0.020 F
0.884 0.691 0.520 F
0.566 0.870 0.785 F
0.828 0.488 0.363 F
0.130 0.697 0.785 F
0.914 0.810 0.842 F
0.532 0.412 0.050 F
0.870 0.566 0.715 F
0.303 0.434 0.785 F
0.190 0.086 0.342 F
0.468 0.588 0.950 F
0.412 0.532 0.450 F
0.468 0.880 0.450 F
0.488 0.828 0.137 F
0.880 0.412 0.550 F
0.086 0.895 0.658 F
0.810 0.895 0.158 F
0.880 0.468 0.050 F
0.116 0.309 0.480 F
0.697 0.130 0.715 F
0.600 0.677 0.102 U
0.677 0.076 0.898 U
0.924 0.323 0.398 U
0.076 0.400 0.102 U
0.600 0.924 0.602 U
0.924 0.600 0.898 U
0.323 0.400 0.602 U
0.400 0.076 0.398 U
0.677 0.600 0.398 U
0.400 0.323 0.898 U
0.323 0.924 0.102 U
0.076 0.677 0.602 U
0.000 0.000 0.250 V
0.000 0.000 0.750 V
0.000 0.000 0.000 Na
0.667 0.333 0.663 Na
0.333 0.667 0.337 Na
0.333 0.667 0.837 Na
0.667 0.333 0.163 Na
0.000 0.000 0.500 Na
```

Properties
Its total energy is -546.001 eV for the cell shown. The formation energy comes out at -3.758 eV per atom.

=====

Entry 5:
This record from the Materials Project describes crystalline NaVF3 at its relaxed geometry. The functional is GGA+U.

POSCAR file:
```
NaVF3
1.0
-5.047 -2.206 -0.741
2.403 -4.663 -2.489
0.504 -3.549 7.136
F Na V
12 4 4
Direct
0.189 0.306 0.437 F
0.689 0.194 0.937 F
0.311 0.806 0.437 F
0.125 0.050 0.750 F
0.625 0.450 0.250 F
0.375 0.550 0.750 F
0.811 0.694 0.937 F
0.875 0.950 0.250 F
0.689 0.194 0.563 F
0.189 0.306 0.063 F
0.311 0.806 0.063 F
0.811 0.694 0.563 F
0.481 0.064 0.250 Na
0.519 0.936 0.750 Na
0.981 0.436 0.750 Na
0.019 0.564 0.250 Na
0.000 0.000 0.500 V
0.500 0.500 0.000 V
0.500 0.500 0.500 V
0.000 0.000 0.000 V
```

Properties
The calculation puts the distance to the lowest polymorph of the same formula at 0.00 eV per formula unit. Its total energy is -112.135 eV for the cell shown. The formation energy comes out at -2.994 eV per atom.

=====

Entry 6:
This record from the Materials Project describes crystalline NaVF4 at its relaxed geometry. The functional is GGA+U.

POSCAR file:
```
NaVF4
1.0
-5.216 -1.504 -0.366
0.495 -3.401 6.925
-2.089 6.000 5.117
V Na F
4 4 16
Direct
0.247 0.798 0.825 V
0.253 0.298 0.825 V
0.753 0.202 0.175 V
0.747 0.702 0.175 V
0.282 0.394 0.376 Na
0.218 0.894 0.376 Na
0.718 0.606 0.624 Na
0.782 0.106 0.624 Na
0.487 0.127 0.327 F
0.973 0.188 0.364 F
0.027 0.812 0.636 F
0.527 0.688 0.364 F
0.643 0.451 0.178 F
0.513 0.873 0.673 F
0.473 0.312 0.636 F
0.034 0.294 0.022 F
0.357 0.549 0.822 F
0.987 0.373 0.673 F
0.857 0.951 0.178 F
0.966 0.706 0.978 F
0.143 0.049 0.822 F
0.466 0.794 0.022 F
0.534 0.206 0.978 F
0.013 0.627 0.327 F
```

Properties
Its total energy is -134.394 eV for the cell shown. The formation energy comes out at -3.180 eV per atom.

=====

Entry 7:
This record from the Materials Project describes crystalline NaV3F10 at its relaxed geometry. The functional is GGA+U.

POSCAR file:
```
NaV3F10
1.0
0.000 6.628 7.962
3.799 0.000 7.962
3.799 6.628 0.000
V F Na
6 20 2
Direct
0.258 0.242 0.742 V
0.505 0.495 0.495 V
0.008 0.992 0.492 V
0.758 0.742 0.242 V
0.508 0.492 0.992 V
0.755 0.745 0.745 V
0.465 0.042 0.442 F
0.886 0.848 0.120 F
0.380 0.373 0.621 F
0.208 0.785 0.199 F
0.051 0.452 0.652 F
0.598 0.406 0.199 F
0.466 0.037 0.827 F
0.844 0.652 0.452 F
0.146 0.120 0.848 F
0.402 0.364 0.104 F
0.798 0.199 0.406 F
0.130 0.104 0.364 F
0.808 0.199 0.785 F
0.423 0.580 0.784 F
0.213 0.784 0.580 F
0.877 0.870 0.623 F
0.051 0.442 0.042 F
0.629 0.623 0.870 F
0.670 0.827 0.037 F
0.627 0.621 0.373 F
0.987 0.013 0.013 Na
0.237 0.263 0.263 Na
```

Properties
Its total energy is -165.566 eV for the cell shown. The formation energy comes out at -3.199 eV per atom.

=====

Entry 8:
This record from the Materials Project describes crystalline NaV3F7 at its relaxed geometry. The functional is GGA+U.

POSCAR file:
```
NaV3F7
1.0
3.757 6.412 0.000
-3.757 6.412 0.000
0.000 4.137 6.128
F V Na
14 6 2
Direct
0.349 0.335 0.895 F
0.335 0.349 0.395 F
0.023 0.662 0.665 F
0.669 0.116 0.552 F
0.665 0.651 0.605 F
0.884 0.331 0.948 F
0.116 0.669 0.052 F
0.331 0.884 0.448 F
0.662 0.023 0.165 F
0.876 0.124 0.750 F
0.977 0.338 0.335 F
0.338 0.977 0.835 F
0.651 0.665 0.105 F
0.124 0.876 0.250 F
0.000 0.000 0.000 V
0.500 0.000 0.500 V
0.500 0.000 0.000 V
0.000 0.500 0.000 V
0.000 0.000 0.500 V
0.000 0.500 0.500 V
0.500 0.500 0.000 Na
0.500 0.500 0.500 Na
```

Properties
Its total energy is -131.327 eV for the cell shown. The formation energy comes out at -2.911 eV per atom.

=====

Entry 9:
This record from the Materials Project describes crystalline Na2VF5 at its relaxed geometry. The functional is GGA+U.

POSCAR file:
```
Na2VF5
1.0
-4.293 -2.237 -2.384
4.523 -3.149 -5.189
3.081 -9.964 3.801
F V Na
20 4 8
Direct
0.224 0.379 0.138 F
0.652 0.251 0.497 F
0.724 0.621 0.362 F
0.348 0.749 0.503 F
0.311 0.109 0.926 F
0.348 0.951 0.668 F
0.776 0.621 0.862 F
0.848 0.251 0.997 F
0.689 0.891 0.074 F
0.189 0.109 0.426 F
0.250 0.510 0.372 F
0.152 0.749 0.003 F
0.276 0.379 0.638 F
0.250 0.510 0.872 F
0.811 0.891 0.574 F
0.750 0.490 0.628 F
0.750 0.490 0.128 F
0.152 0.951 0.168 F
0.848 0.049 0.832 F
0.652 0.049 0.332 F
0.500 0.000 0.500 V
0.000 0.000 0.000 V
0.000 0.500 0.000 V
0.500 0.500 0.500 V
0.560 0.347 0.817 Na
0.491 0.148 0.133 Na
0.440 0.653 0.183 Na
0.509 0.852 0.867 Na
0.940 0.347 0.317 Na
0.009 0.148 0.633 Na
0.060 0.653 0.683 Na
0.991 0.852 0.367 Na
```

Properties
Its total energy is -169.789 eV for the cell shown. The formation energy comes out at -3.144 eV per atom.

=====

Entry 10:
This record from the Materials Project describes crystalline Na2V2F7 at its relaxed geometry. The functional is GGA+U.

POSCAR file:
```
Na2V2F7
1.0
-4.772 1.328 -5.630
2.005 -1.672 -7.030
-10.373 -22.793 -1.371
F Na V
56 16 16
Direct
0.076 0.066 0.392 F
0.526 0.634 0.210 F
0.027 0.135 0.709 F
0.470 0.089 0.344 F
0.066 0.076 0.892 F
0.645 0.301 0.902 F
0.728 0.300 0.143 F
0.189 0.635 0.546 F
0.272 0.700 0.857 F
0.420 0.860 0.455 F
0.135 0.027 0.209 F
0.416 0.260 0.453 F
0.584 0.740 0.547 F
0.207 0.130 0.532 F
0.911 0.530 0.156 F
0.366 0.474 0.290 F
0.536 0.927 0.109 F
0.860 0.420 0.955 F
0.337 0.300 0.143 F
0.635 0.189 0.046 F
0.089 0.470 0.844 F
0.300 0.337 0.643 F
0.700 0.663 0.357 F
0.637 0.136 0.707 F
0.474 0.366 0.790 F
0.301 0.645 0.402 F
0.130 0.207 0.032 F
0.811 0.365 0.454 F
0.974 0.360 0.295 F
0.360 0.974 0.795 F
0.640 0.026 0.205 F
0.663 0.700 0.857 F
0.934 0.924 0.108 F
0.864 0.363 0.793 F
0.740 0.584 0.047 F
0.700 0.272 0.357 F
0.300 0.728 0.643 F
0.634 0.526 0.710 F
0.355 0.699 0.098 F
0.699 0.355 0.598 F
0.870 0.793 0.968 F
0.026 0.640 0.705 F
0.260 0.416 0.953 F
0.136 0.637 0.207 F
0.793 0.870 0.468 F
0.073 0.464 0.391 F
0.973 0.865 0.291 F
0.927 0.536 0.609 F
0.924 0.934 0.608 F
0.464 0.073 0.891 F
0.363 0.864 0.293 F
0.530 0.911 0.656 F
0.365 0.811 0.954 F
0.580 0.140 0.545 F
0.140 0.580 0.045 F
0.865 0.973 0.791 F
0.000 0.500 0.500 Na
0.786 0.214 0.250 Na
0.000 0.000 0.000 Na
0.500 0.500 0.500 Na
0.500 0.500 0.000 Na
0.500 0.000 0.000 Na
0.295 0.210 0.247 Na
0.882 0.865 0.378 Na
0.790 0.705 0.253 Na
0.705 0.790 0.753 Na
0.214 0.786 0.750 Na
0.000 0.000 0.500 Na
0.135 0.118 0.122 Na
0.210 0.295 0.747 Na
0.118 0.135 0.622 Na
0.865 0.882 0.878 Na
0.000 0.500 0.000 V
0.615 0.631 0.628 V
0.636 0.112 0.126 V
0.364 0.888 0.874 V
0.888 0.364 0.374 V
0.387 0.866 0.374 V
0.631 0.615 0.128 V
0.112 0.636 0.626 V
0.500 0.000 0.500 V
0.247 0.753 0.250 V
0.134 0.613 0.126 V
0.866 0.387 0.874 V
0.753 0.247 0.750 V
0.369 0.385 0.872 V
0.385 0.369 0.372 V
0.613 0.134 0.626 V
```

Properties
Its total energy is -493.368 eV for the cell shown. The formation energy comes out at -3.099 eV per atom.

=====

Which of these has the lowest formation energy? Na3U6VF30

=====

formation energy of number 9 (Na2VF5)? -3.144 eV per atom